# SbC2O5

A relaxed SbC2O5 crystal (GGA-PBE, the Materials Project).

abc: 5.7410 11.2287 6.1966
angles: 90.00 90.00 90.00
Last column: nearest neighbours and their distance in Å.
Space group Pnma (No. 62)
One atom of each set of equivalent atoms:
1 Sb 0.1926 0.2500 0.0602  2 O 1.94-1.99
2 C 0.1078 0.5235 0.0626  2 O 1.26-1.27
3 O 0.0182 0.2500 0.3276  2 Sb 1.94-1.99
4 O 0.1110 0.6322 0.1128  1 C 1.26
5 O 0.2329 0.5507 0.6055  1 C 1.27

Calculated values
crystal system: orthorhombic
DFT formation energy: -1484 meV/atom
electronic total energy: -6.97 eV/atom


# MgSi2

A relaxed MgSi2 crystal (GGA-PBE, the Materials Project).

abc: 10.2482 3.7171 6.8016
angles: 90.00 124.42 90.00
Last column: nearest neighbours and their distance in Å.
Space group C2/m (No. 12)
One atom of each set of equivalent atoms:
1 Mg 0.0774 0.0000 0.3566  9 Si 2.80-3.06
2 Si 0.1329 0.5000 0.0532  4 Si 2.39-2.54
3 Si 0.1867 0.5000 0.7310  3 Si 2.44-2.54

Calculated values
crystal system: monoclinic
DFT formation energy: 155 meV/atom
electronic total energy: -4.04 eV/atom


# SiP4PdPbO14

A relaxed SiP4PdPbO14 crystal (GGA-PBE, the Materials Project).

abc: 4.6575 17.4082 6.5350
angles: 90.00 102.05 90.00
Last column: nearest neighbours and their distance in Å.
Space group P2_1/m (No. 11)
One atom of each set of equivalent atoms:
1 Si 0.0000 0.0000 0.0000  6 O 1.76-1.81
2 P 0.1165 0.1228 0.3530  4 O 1.53-1.60
3 P 0.4317 0.0863 0.7776  4 O 1.52-1.62
4 Pd 0.3811 0.7500 0.6426  4 O 2.02-2.04
5 Pb 0.1029 0.2500 0.8604  4 O 2.53-2.80
6 O 0.0672 0.5677 0.8042  1 P 1.53
7 O 0.0726 0.6697 0.5243  1 P 1.54
8 O 0.1594 0.0746 0.8746  1 P 1.54
9 O 0.3092 0.1714 0.2368  1 P 1.54
10 O 0.3223 0.0714 0.5280  2 P 1.60-1.62
11 O 0.3442 0.5225 0.1594  1 P 1.52
12 O 0.4658 0.6689 0.1878  1 P 1.52

Calculated values
crystal system: monoclinic
DFT formation energy: -2465 meV/atom
electronic total energy: -7.02 eV/atom


# Hg

A relaxed Hg crystal (GGA-PBE, the Materials Project).

abc: 6.4543 6.4543 6.6894
angles: 90.00 90.00 90.00
Last column: nearest neighbours and their distance in Å.
Space group I-42d (No. 122)
One atom of each set of equivalent atoms:
1 Hg 0.2043 0.7500 0.1250  6 Hg 3.39-3.40

Calculated values
crystal system: tetragonal
DFT formation energy: 28 meV/atom
electronic total energy: -0.28 eV/atom